(1)
Here is a geometry-optimized Nb5SiSn2 structure from Materials Project. Energies are from GGA-PBE.

Cell lengths 10.6751, 10.6751, 5.1670 Å; angles 90.00, 90.00, 90.00 degrees
Space group I4/mcm (No. 140)
Asymmetric unit:
Nb 0.0000 0.5000 0.2500 [4 per cell]
Nb 0.0698 0.2106 0.0000 [16 per cell]
Si 0.0000 0.0000 0.2500 [4 per cell]
Sn 0.1688 0.3312 0.5000 [8 per cell]

Summary:
VASP energy = -8.325 eV/atom
energy of formation from the pure elements = -0.331 eV per atom

(2)
Here is a geometry-optimized HfBe13 structure from Materials Project. Energies are from GGA-PBE.

Cell lengths 9.9565, 9.9565, 9.9565 Å; angles 90.00, 90.00, 90.00 degrees
Space group Fm-3c (No. 226)
Asymmetric unit:
Hf 0.2500 0.2500 0.2500 [8 per cell]
Be 0.0000 0.0000 0.0000 [8 per cell]
Be 0.0000 0.1159 0.1776 [96 per cell]

Summary:
VASP energy = -4.359 eV/atom
energy of formation from the pure elements = -0.175 eV per atom

(3)
Here is a geometry-optimized PrCd3 structure from Materials Project. Energies are from GGA-PBE.

Cell lengths 7.3621, 7.3621, 7.3621 Å; angles 90.00, 90.00, 90.00 degrees
Space group Fm-3m (No. 225)
Asymmetric unit:
Pr 0.0000 0.0000 0.0000 [4 per cell]
Cd 0.0000 0.0000 0.5000 [4 per cell]
Cd 0.2500 0.2500 0.2500 [8 per cell]

Summary:
VASP energy = -2.196 eV/atom
energy of formation from the pure elements = -0.309 eV per atom

(4)
Here is a geometry-optimized LiTi8O16 structure from Materials Project. Energies are from GGA-PBE.

Cell lengths 5.2074, 5.5853, 9.4894 Å; angles 86.78, 86.92, 88.58 degrees
Space group P1 (No. 1)
Asymmetric unit:
Li 0.0000 0.0000 0.0000 [1 per cell]
Ti 0.0238 0.4791 0.0189 [1 per cell]
Ti 0.1061 0.0792 0.2650 [1 per cell]
Ti 0.3225 0.3275 0.7437 [1 per cell]
Ti 0.3437 0.8438 0.5103 [1 per cell]
Ti 0.5158 0.7895 0.9850 [1 per cell]
Ti 0.5891 0.3720 0.2603 [1 per cell]
Ti 0.8208 0.0248 0.7391 [1 per cell]
Ti 0.8497 0.5505 0.5096 [1 per cell]
O 0.0041 0.2667 0.8720 [1 per cell]
O 0.0369 0.8168 0.3964 [1 per cell]
O 0.1640 0.5599 0.6161 [1 per cell]
O 0.1647 0.0596 0.6490 [1 per cell]
O 0.2553 0.8803 0.1136 [1 per cell]
O 0.2759 0.3736 0.1563 [1 per cell]
O 0.3521 0.5625 0.8939 [1 per cell]
O 0.4180 0.1049 0.3700 [1 per cell]
O 0.5054 0.0707 0.8632 [1 per cell]
O 0.5371 0.6078 0.3998 [1 per cell]
O 0.6630 0.3345 0.6526 [1 per cell]
O 0.6637 0.8365 0.6116 [1 per cell]
O 0.7341 0.6241 0.1233 [1 per cell]
O 0.8312 0.1819 0.1376 [1 per cell]
O 0.8742 0.7732 0.8864 [1 per cell]
O 0.9100 0.3152 0.3809 [1 per cell]

Summary:
E (MP2020) = -9.132 eV/atom
energy relative to the lowest polymorph listed for this composition = 31 meV per atom
VASP energy = -8.693 eV/atom
energy of formation from the pure elements = -3.363 eV per atom

(5)
Here is a geometry-optimized TiP2O7 structure from Materials Project. Energies are from GGA-PBE.

Cell lengths 7.4186, 8.0072, 9.5688 Å; angles 90.00, 111.13, 90.00 degrees
Space group P2_1/c (No. 14)
Asymmetric unit:
Ti 0.2333 0.0128 0.2514 [4 per cell]
P 0.1773 0.7078 0.4532 [4 per cell]
P 0.4337 0.2447 0.5510 [4 per cell]
O 0.0271 0.5896 0.3476 [4 per cell]
O 0.1490 0.6127 0.8938 [4 per cell]
O 0.1876 0.6896 0.6146 [4 per cell]
O 0.3111 0.2017 0.3883 [4 per cell]
O 0.3234 0.1370 0.1155 [4 per cell]
O 0.3827 0.6478 0.4482 [4 per cell]
O 0.4914 0.5883 0.8539 [4 per cell]

Summary:
E (MP2020) = -8.285 eV/atom
energy relative to the lowest polymorph listed for this composition = 12 meV per atom
VASP energy = -7.804 eV/atom
energy of formation from the pure elements = -2.949 eV per atom

(6)
Here is a geometry-optimized K3Ce structure from Materials Project. Energies are from GGA-PBE.

Cell lengths 5.9806, 5.9806, 13.3685 Å; angles 90.00, 90.00, 90.00 degrees
Space group I4/mmm (No. 139)
Asymmetric unit:
K 0.0000 0.0000 0.0000 [2 per cell]
K 0.0000 0.5000 0.2500 [4 per cell]
Ce 0.0000 0.0000 0.5000 [2 per cell]

Summary:
energy relative to the lowest polymorph listed for this composition = 0 meV per atom
VASP energy = -1.684 eV/atom
energy of formation from the pure elements = 0.632 eV per atom

no.,density (g cm⁻³)
1,8.24
2,3.98
3,7.96
4,3.90
5,2.78
6,1.79